Entry 1:
Crystalline LiFePO4 at its relaxed geometry. Source: the Materials Project, functional PBE with a Hubbard U.

Results
Energy relative to the lowest polymorph listed for this composition: 88 meV/atom
Largest piezoelectric modulus: 0.1 C/m2
Energy relative to the elements: -2.392 eV/atom
Magnetic moment: 0.00 μB per cell
Electronic total energy: -6.7608 eV/atom

Geometry as POSCAR:
```
LiFePO4
1.0
5.764 0.000 0.000
0.000 5.764 0.000
0.000 0.000 8.125
Li Fe P O
4 4 4 16
Cartesian
0.000 1.293 0.000 Li
0.000 4.471 4.062 Li
1.293 0.000 2.031 Li
4.471 0.000 6.093 Li
1.368 2.882 2.031 Fe
2.882 1.368 0.000 Fe
2.882 4.396 4.062 Fe
4.396 2.882 6.093 Fe
1.447 1.447 5.078 P
1.447 4.317 7.109 P
4.317 1.447 3.047 P
4.317 4.317 1.016 P
0.176 1.448 5.978 O
0.176 4.316 6.209 O
1.448 0.176 4.178 O
1.448 5.588 8.009 O
1.456 2.738 4.168 O
1.456 3.026 8.019 O
2.738 1.456 5.988 O
2.738 4.308 6.199 O
3.026 1.456 2.137 O
3.026 4.308 1.925 O
4.308 2.738 3.956 O
4.308 3.026 0.106 O
4.316 0.176 3.947 O
4.316 5.588 0.116 O
5.588 1.448 2.147 O
5.588 4.316 1.916 O
```

=====

Entry 2:
Crystalline LiFeP2O7 at its relaxed geometry. Source: the Materials Project, functional PBE with a Hubbard U.

Results
Energy relative to the lowest polymorph listed for this composition: 92 meV/atom
Energy relative to the elements: -2.434 eV/atom
Magnetic moment: 40.00 μB per cell
Electronic total energy: -6.8682 eV/atom

Geometry as POSCAR:
```
LiFeP2O7
1.0
9.704 0.000 0.000
0.010 9.708 0.000
2.278 0.033 10.864
Li Fe P O
8 8 16 56
Cartesian
0.000 0.000 0.000 Li
1.350 0.021 5.430 Li
2.568 3.009 9.860 Li
1.991 6.666 5.257 Li
5.434 1.595 9.937 Li
7.334 6.348 10.694 Li
6.809 9.609 5.242 Li
8.917 4.714 4.493 Li
5.441 6.484 8.498 Fe
4.718 8.437 3.054 Fe
5.544 3.684 6.823 Fe
4.876 1.629 1.468 Fe
10.257 0.055 8.525 Fe
9.564 7.794 3.036 Fe
10.361 2.919 6.843 Fe
9.668 4.975 1.359 Fe
2.505 7.112 9.582 P
1.420 2.923 3.736 P
2.626 4.963 7.534 P
1.932 0.362 2.275 P
3.510 1.349 7.630 P
2.815 6.448 2.354 P
4.125 8.516 6.196 P
2.942 4.258 0.373 P
7.357 9.145 9.570 P
6.202 3.663 3.742 P
7.475 1.593 7.532 P
6.767 6.214 2.282 P
8.369 5.204 7.727 P
7.661 0.081 2.354 P
8.929 7.731 6.206 P
7.777 2.270 0.387 P
1.865 3.793 8.220 O
2.143 6.329 8.217 O
1.963 1.164 7.320 O
1.312 9.114 3.345 O
1.247 1.773 2.583 O
1.259 6.575 2.088 O
2.205 5.004 6.105 O
1.411 4.139 0.215 O
2.665 8.342 5.899 O
1.610 0.043 0.856 O
3.749 1.644 9.091 O
2.845 3.152 3.995 O
4.031 7.210 9.626 O
3.182 6.552 3.803 O
4.169 4.864 7.838 O
4.241 9.661 7.342 O
4.122 2.350 6.658 O
3.194 4.996 1.780 O
3.480 0.438 2.553 O
3.695 7.467 1.593 O
4.836 7.338 6.856 O
3.542 2.855 0.542 O
5.872 5.141 10.153 O
4.894 9.031 4.945 O
5.443 4.161 5.002 O
6.689 0.280 10.649 O
6.776 7.732 9.381 O
5.480 2.481 3.069 O
6.603 2.651 8.250 O
6.814 5.335 7.408 O
7.041 0.172 8.161 O
6.176 7.206 3.304 O
6.058 4.817 2.597 O
6.128 9.682 2.080 O
7.147 1.571 6.080 O
6.272 2.327 0.259 O
7.510 8.004 5.915 O
6.523 6.545 0.859 O
8.694 4.884 9.122 O
7.649 3.472 4.010 O
8.887 9.087 9.677 O
8.068 9.673 3.798 O
9.028 1.708 7.849 O
9.051 6.637 7.368 O
8.979 4.287 6.602 O
8.100 1.505 1.777 O
8.330 6.061 2.622 O
8.556 8.757 1.587 O
9.773 8.916 6.779 O
8.485 3.617 0.536 O
10.776 1.482 10.146 O
9.715 7.160 4.946 O
10.366 2.340 5.011 O
11.613 6.347 10.745 O
10.263 4.081 3.129 O
11.599 8.521 9.371 O
```

=====

Entry 3:
Crystalline LiFePO4 at its relaxed geometry. Source: the Materials Project, functional PBE with a Hubbard U.

Results
Energy relative to the lowest polymorph listed for this composition: 39 meV/atom
Largest piezoelectric modulus: 0.4 C/m2
Energy relative to the elements: -2.441 eV/atom
Magnetic moment: 0.00 μB per cell
Electronic total energy: -6.8100 eV/atom

Geometry as POSCAR:
```
LiFePO4
1.0
7.991 0.000 0.000
0.000 5.431 0.000
-2.088 0.000 8.308
Li Fe P O
4 4 4 16
Cartesian
0.000 0.828 0.000 Li
-1.044 4.603 4.154 Li
2.787 1.827 5.901 Li
3.831 3.605 1.747 Li
2.489 0.941 2.677 Fe
1.445 4.490 6.831 Fe
5.905 1.828 5.254 Fe
6.949 3.603 1.100 Fe
0.272 1.794 7.836 P
1.316 3.638 3.682 P
5.658 0.923 2.150 P
4.615 4.509 6.304 P
-0.976 1.829 6.916 O
0.068 3.602 2.762 O
1.834 1.042 0.781 O
0.790 4.390 4.935 O
1.829 2.219 4.073 O
0.785 3.212 8.227 O
1.444 1.041 7.143 O
2.488 4.390 2.989 O
4.346 1.736 2.269 O
3.302 3.695 6.423 O
4.353 0.554 5.866 O
5.397 4.877 1.712 O
6.588 1.607 1.103 O
5.544 3.824 5.257 O
6.367 0.903 3.543 O
5.323 4.528 7.697 O
```

=====

Entry 4:
Crystalline LiFeP2O7 at its relaxed geometry. Source: the Materials Project, functional PBE with a Hubbard U.

Results
Energy relative to the lowest polymorph listed for this composition: 170 meV/atom
Energy relative to the elements: -2.356 eV/atom
Magnetic moment: 20.00 μB per cell
Electronic total energy: -6.7903 eV/atom

Geometry as POSCAR:
```
LiFeP2O7
1.0
4.241 -6.700 0.000
4.241 6.700 0.000
-0.580 0.000 10.513
Li Fe P O
4 4 8 28
Cartesian
3.660 3.746 10.500 Li
3.953 3.746 5.269 Li
3.950 -3.746 5.243 Li
4.243 -3.746 0.013 Li
1.451 0.003 1.067 Fe
1.161 -0.003 6.323 Fe
6.742 0.003 4.189 Fe
6.452 -0.003 9.446 Fe
1.906 1.461 9.059 P
2.257 1.418 3.814 P
2.196 -1.461 3.803 P
1.967 -1.418 9.070 P
5.936 1.418 1.443 P
5.707 1.461 6.710 P
5.646 -1.418 6.699 P
5.997 -1.461 1.453 P
0.762 1.375 10.139 O
1.100 1.367 4.879 O
1.271 1.358 7.647 O
1.642 1.355 2.391 O
2.849 2.584 9.239 O
3.241 2.501 4.028 O
1.052 -1.375 4.883 O
0.810 -1.367 10.135 O
1.561 -1.358 2.391 O
1.352 -1.355 7.647 O
2.714 0.038 9.278 O
3.004 -0.038 4.021 O
4.952 2.501 1.228 O
4.764 2.584 6.530 O
3.139 -2.584 3.983 O
2.951 -2.501 9.284 O
4.898 0.038 6.491 O
5.188 -0.038 1.235 O
6.551 1.355 2.866 O
6.342 1.358 8.122 O
7.093 1.367 0.377 O
6.851 1.375 5.630 O
4.662 -2.501 6.485 O
5.054 -2.584 1.273 O
6.261 -1.355 8.122 O
6.632 -1.358 2.865 O
6.803 -1.367 5.634 O
7.140 -1.375 0.373 O
```

=====

Entry 5:
Crystalline Li4FeP2O8 at its relaxed geometry. Source: the Materials Project, functional PBE with a Hubbard U.

Results
Energy relative to the lowest polymorph listed for this composition: 43 meV/atom
Energy relative to the elements: -2.574 eV/atom
Magnetic moment: 0.00 μB per cell
Electronic total energy: -6.4918 eV/atom

Geometry as POSCAR:
```
Li4FeP2O8
1.0
4.615 -0.442 6.080
2.585 10.593 0.286
-5.246 -1.220 6.280
O Li P Fe
32 16 8 4
Cartesian
4.924 3.228 5.666 O
-1.750 1.152 3.118 O
3.751 8.330 5.859 O
4.869 5.517 4.697 O
-1.179 7.941 5.960 O
-2.916 3.413 7.947 O
2.015 3.802 7.848 O
4.020 8.610 3.347 O
3.133 0.989 6.686 O
1.112 0.027 4.605 O
-0.054 2.287 9.434 O
1.692 5.811 9.391 O
0.262 3.119 3.255 O
4.718 5.562 7.756 O
-0.061 5.129 4.798 O
1.275 0.902 1.483 O
-2.764 3.368 4.890 O
-2.971 5.702 6.979 O
-0.006 2.839 5.766 O
2.167 3.757 4.789 O
0.843 8.904 8.042 O
-0.213 5.173 7.856 O
0.678 8.028 11.163 O
1.158 9.736 1.861 O
0.994 8.859 4.982 O
0.960 0.071 7.664 O
2.008 6.643 3.211 O
1.961 6.091 6.879 O
0.796 -0.805 10.785 O
-1.797 0.600 6.787 O
-2.066 0.320 9.298 O
3.704 7.779 9.527 O
2.004 8.635 3.239 Li
1.354 6.644 5.123 Li
4.024 6.618 3.318 Li
2.528 1.542 4.930 Li
0.600 2.288 7.522 Li
-0.907 6.229 3.419 Li
-0.573 7.388 7.715 Li
-2.069 2.312 9.325 Li
4.358 7.778 7.616 Li
0.915 3.118 1.342 Li
2.862 2.702 9.225 Li
1.039 5.813 11.303 Li
-0.050 0.296 9.407 Li
1.689 7.803 9.420 Li
0.266 1.127 3.227 Li
-2.404 1.151 5.030 Li
0.295 2.893 10.817 P
1.659 6.038 1.828 P
1.344 5.206 8.008 P
2.516 0.105 7.815 P
4.368 9.215 4.731 P
-2.414 -0.285 7.915 P
-0.562 8.826 4.831 P
0.611 3.724 4.637 P
3.444 4.660 6.272 Fe
2.585 10.592 0.288 Fe
-0.315 -0.830 6.180 Fe
-1.489 4.270 6.372 Fe
```

=====

Entry 6:
Crystalline Li2FePO5 at its relaxed geometry. Source: the Materials Project, functional PBE with a Hubbard U.

Results
Energy relative to the lowest polymorph listed for this composition: 35 meV/atom
Largest piezoelectric modulus: 0.5 C/m2
Energy relative to the elements: -2.377 eV/atom
Magnetic moment: 0.00 μB per cell
Electronic total energy: -6.4605 eV/atom

Geometry as POSCAR:
```
Li2FePO5
1.0
9.075 0.000 0.000
0.000 4.519 0.000
0.000 0.000 9.187
Li Fe P O
8 4 4 20
Cartesian
0.000 0.030 0.000 Li
0.000 4.490 4.594 Li
2.235 0.032 2.374 Li
2.235 4.487 6.968 Li
4.537 1.867 6.972 Li
4.537 2.652 2.378 Li
6.839 0.032 2.374 Li
6.839 4.487 6.968 Li
0.000 2.022 2.416 Fe
0.000 2.497 7.010 Fe
4.537 0.150 4.371 Fe
4.537 4.369 8.965 Fe
2.282 2.250 4.706 P
2.282 2.269 0.112 P
6.793 2.250 4.706 P
6.793 2.269 0.112 P
0.000 0.692 7.049 O
0.000 3.828 2.455 O
1.383 1.381 3.786 O
1.383 3.138 8.380 O
1.400 1.409 1.057 O
1.400 3.110 5.651 O
3.134 1.281 8.467 O
3.134 3.238 3.873 O
3.173 1.258 5.506 O
3.173 3.261 0.912 O
4.537 0.760 2.671 O
4.537 3.759 7.265 O
5.902 1.258 5.506 O
5.902 3.261 0.912 O
5.941 1.281 8.467 O
5.941 3.238 3.873 O
7.675 1.409 1.057 O
7.675 3.110 5.651 O
7.691 1.381 3.786 O
7.691 3.138 8.380 O
```

=====

Entry 7:
Crystalline LiFeP3O9 at its relaxed geometry. Source: the Materials Project, functional PBE with a Hubbard U.

Results
Energy relative to the lowest polymorph listed for this composition: 66 meV/atom
Energy relative to the elements: -2.488 eV/atom
Magnetic moment: 4.00 μB per cell
Electronic total energy: -6.9677 eV/atom

Geometry as POSCAR:
```
LiFeP3O9
1.0
5.160 2.979 2.265
-5.160 2.979 2.265
0.000 -5.958 2.265
Li Fe P O
1 1 3 9
Cartesian
0.000 0.000 0.000 Li
0.000 0.000 3.165 Fe
-0.658 -2.882 4.544 P
-2.168 2.011 4.544 P
2.825 0.872 4.544 P
-1.386 -1.004 1.875 O
-2.066 -2.589 3.785 O
-0.177 1.702 1.875 O
1.563 -0.698 1.875 O
-1.583 0.638 4.440 O
0.239 -1.690 4.440 O
-1.209 3.084 3.785 O
1.344 1.052 4.440 O
3.275 -0.495 3.785 O
```

=====

Entry 8:
Crystalline LiFeP2O7 at its relaxed geometry. Source: the Materials Project, functional PBE with a Hubbard U.

Results
Energy relative to the lowest polymorph listed for this composition: 66 meV/atom
Energy relative to the elements: -2.460 eV/atom
Magnetic moment: 20.00 μB per cell
Electronic total energy: -6.8945 eV/atom

Geometry as POSCAR:
```
LiFeP2O7
1.0
4.770 -4.068 0.000
4.770 4.068 0.000
-3.919 0.000 13.396
Li Fe P O
4 4 8 28
Cartesian
0.727 0.029 4.613 Li
-1.232 -0.029 11.310 Li
6.854 0.029 2.085 Li
4.895 -0.029 8.783 Li
2.128 1.052 1.975 Fe
0.168 -1.052 8.673 Fe
5.454 1.052 4.723 Fe
3.494 -1.052 11.421 Fe
2.637 2.401 4.907 P
2.081 1.589 7.867 P
4.944 2.401 1.791 P
1.581 1.589 12.226 P
4.041 -1.589 1.169 P
0.678 -2.401 11.605 P
3.541 -1.589 5.528 P
2.985 -2.401 8.489 P
1.292 2.589 8.618 O
3.421 2.555 1.620 O
-1.165 0.346 8.943 O
1.988 1.999 6.280 O
0.054 1.576 11.898 O
0.795 -0.346 2.246 O
2.283 1.267 3.915 O
4.161 2.555 5.078 O
2.370 2.589 11.476 O
5.593 1.999 0.418 O
1.495 0.158 7.870 O
3.454 -0.158 1.172 O
3.609 1.576 8.195 O
5.298 1.267 2.783 O
0.324 -1.267 10.612 O
2.013 -1.576 5.200 O
2.168 0.158 12.223 O
4.127 -0.158 5.526 O
0.029 -1.999 12.978 O
3.252 -2.589 1.920 O
1.461 -2.555 8.317 O
3.339 -1.267 9.481 O
4.827 0.346 11.150 O
5.568 -1.576 1.497 O
3.634 -1.999 7.116 O
6.787 -0.346 4.452 O
2.201 -2.555 11.776 O
4.329 -2.589 4.778 O
```

=====

Q: Among the records above, which one has the highest magnetic moment?
A: number 2